Yb2AlSi2: relaxed, r2SCAN.

Output
space group = P4/mbm, No. 127
final energy = -20.224 eV/atom
DFT formation energy = -0.757 eV per atom

Cell: 6.7198 6.7198 4.2119 Å, 90.00 90.00 90.00°
Atoms (fractional coordinates):
Yb  0.1769  0.3231  0.0000
Yb  0.3231  0.8231  0.0000
Yb  0.6769  0.1769  0.0000
Yb  0.8231  0.6769  0.0000
Al  0.0000  0.0000  0.5000
Al  0.5000  0.5000  0.5000
Si  0.1248  0.6248  0.5000
Si  0.3752  0.1248  0.5000
Si  0.6248  0.8752  0.5000
Si  0.8752  0.3752  0.5000

GaTeI7: relaxed, r2SCAN.

Output
space group = Pc, No. 7
final energy = -23.543 eV/atom
DFT formation energy = -0.346 eV per atom

Cell: 7.4153 7.2758 16.5313 Å, 90.00 103.36 90.00°
Atoms (fractional coordinates):
Ga  0.0000  0.0106  0.0000
Ga  0.0000  0.9894  0.5000
Te  0.7148  0.4105  0.8460
Te  0.7148  0.5895  0.3460
I  0.0292  0.3381  0.5115
I  0.0292  0.6619  0.0115
I  0.0796  0.1246  0.8643
I  0.0796  0.8754  0.3643
I  0.2248  0.1644  0.1234
I  0.2248  0.8356  0.6234
I  0.4289  0.3751  0.3724
I  0.4289  0.6249  0.8724
I  0.5010  0.1678  0.7351
I  0.5010  0.8322  0.2351
I  0.6707  0.1216  0.0018
I  0.6707  0.8784  0.5018
I  0.8360  0.3802  0.2310
I  0.8360  0.6198  0.7310